1.
Entry from the Materials Project: an optimized crystal structure of EuF3 (PBE). Values from VASP.

Computed properties:
Energy, eV per atom: -7.464
Crystal system: orthorhombic

Structure (Quantum ESPRESSO input):
```
&SYSTEM
  ibrav = 0, nat = 16, ntyp = 2
/
ATOMIC_SPECIES
Eu 151.96 Eu.upf
F 19.00 F.upf
ATOMIC_POSITIONS crystal
Eu 0.1339 0.2500 0.0575
Eu 0.3661 0.7500 0.5575
Eu 0.6339 0.2500 0.4425
Eu 0.8661 0.7500 0.9425
F 0.0204 0.7500 0.4216
F 0.1645 0.5655 0.8909
F 0.1645 0.9345 0.8909
F 0.3355 0.0655 0.3909
F 0.3355 0.4345 0.3909
F 0.4796 0.2500 0.9216
F 0.5204 0.7500 0.0784
F 0.6645 0.5655 0.6091
F 0.6645 0.9345 0.6091
F 0.8355 0.0655 0.1091
F 0.8355 0.4345 0.1091
F 0.9796 0.2500 0.5784
CELL_PARAMETERS angstrom
6.6834 0.0000 0.0000
0.0000 7.1252 0.0000
0.0000 0.0000 4.4697
```

---

2.
Entry from the Materials Project: an optimized crystal structure of Sm2Ga2Co5 (PBE). Values from VASP.

Computed properties:
Energy, eV per atom: -5.954
Crystal system: trigonal

Structure (Quantum ESPRESSO input):
```
&SYSTEM
  ibrav = 0, nat = 18, ntyp = 3
/
ATOMIC_SPECIES
Sm 150.36 Sm.upf
Ga 69.72 Ga.upf
Co 58.93 Co.upf
ATOMIC_POSITIONS crystal
Sm 0.0494 0.0494 0.0494
Sm 0.1473 0.1473 0.1473
Sm 0.8527 0.8527 0.8527
Sm 0.9506 0.9506 0.9506
Ga 0.2780 0.2780 0.2780
Ga 0.3882 0.3882 0.3882
Ga 0.6118 0.6118 0.6118
Ga 0.7220 0.7220 0.7220
Co 0.0000 0.5000 0.5000
Co 0.1130 0.6097 0.6097
Co 0.3903 0.3903 0.8870
Co 0.3903 0.8870 0.3903
Co 0.5000 0.0000 0.5000
Co 0.5000 0.5000 0.0000
Co 0.5000 0.5000 0.5000
Co 0.6097 0.1130 0.6097
Co 0.6097 0.6097 0.1130
Co 0.8870 0.3903 0.3903
CELL_PARAMETERS angstrom
2.6243 1.5151 11.6498
-2.6243 1.5151 11.6498
0.0000 -3.0302 11.6498
```

---

3.
Entry from the Materials Project: an optimized crystal structure of Dy2CdCu2 (PBE). Values from VASP.

Computed properties:
Energy, eV per atom: -3.965
Crystal system: tetragonal

Structure (Quantum ESPRESSO input):
```
&SYSTEM
  ibrav = 0, nat = 10, ntyp = 3
/
ATOMIC_SPECIES
Dy 162.50 Dy.upf
Cd 112.41 Cd.upf
Cu 63.55 Cu.upf
ATOMIC_POSITIONS crystal
Dy 0.1767 0.3233 0.0000
Dy 0.3233 0.8233 0.0000
Dy 0.6767 0.1767 0.0000
Dy 0.8233 0.6767 0.0000
Cd 0.0000 0.0000 0.5000
Cd 0.5000 0.5000 0.5000
Cu 0.1170 0.6170 0.5000
Cu 0.3830 0.1170 0.5000
Cu 0.6170 0.8830 0.5000
Cu 0.8830 0.3830 0.5000
CELL_PARAMETERS angstrom
7.6300 0.0000 0.0000
0.0000 7.6300 0.0000
0.0000 0.0000 3.6516
```

---

4.
Entry from the Materials Project: an optimized crystal structure of KScO3 (PBE). Values from VASP.

Computed properties:
Energy, eV per atom: -6.386
Crystal system: cubic

Structure (Quantum ESPRESSO input):
```
&SYSTEM
  ibrav = 0, nat = 5, ntyp = 3
/
ATOMIC_SPECIES
K 39.10 K.upf
Sc 44.96 Sc.upf
O 16.00 O.upf
ATOMIC_POSITIONS crystal
K 0.0000 0.0000 0.0000
Sc 0.5000 0.5000 0.5000
O 0.0000 0.5000 0.5000
O 0.5000 0.0000 0.5000
O 0.5000 0.5000 0.0000
CELL_PARAMETERS angstrom
4.2107 0.0000 0.0000
0.0000 4.2107 0.0000
0.0000 0.0000 4.2107
```

---

5.
Entry from the Materials Project: an optimized crystal structure of Sr2Mg (PBE). Values from VASP.

Computed properties:
Energy, eV per atom: -1.659
Crystal system: monoclinic

Structure (Quantum ESPRESSO input):
```
&SYSTEM
  ibrav = 0, nat = 12, ntyp = 2
/
ATOMIC_SPECIES
Sr 87.62 Sr.upf
Mg 24.30 Mg.upf
ATOMIC_POSITIONS crystal
Sr 0.0124 0.0000 0.1962
Sr 0.1665 0.5000 0.6137
Sr 0.3335 0.0000 0.3863
Sr 0.4876 0.5000 0.8038
Sr 0.5124 0.5000 0.1962
Sr 0.6665 0.0000 0.6137
Sr 0.8335 0.5000 0.3863
Sr 0.9876 0.0000 0.8038
Mg 0.1959 0.5000 0.0672
Mg 0.3041 0.0000 0.9328
Mg 0.6959 0.0000 0.0672
Mg 0.8041 0.5000 0.9328
CELL_PARAMETERS angstrom
13.4039 0.0000 0.0000
0.0000 4.0713 0.0000
-3.8100 0.0000 9.4416
```

---

6.
Entry from the Materials Project: an optimized crystal structure of Sr2PrTaO6 (PBE). Values from VASP.

Computed properties:
Energy, eV per atom: -7.938
Crystal system: cubic

Structure (Quantum ESPRESSO input):
```
&SYSTEM
  ibrav = 0, nat = 10, ntyp = 4
/
ATOMIC_SPECIES
Sr 87.62 Sr.upf
Pr 140.91 Pr.upf
Ta 180.95 Ta.upf
O 16.00 O.upf
ATOMIC_POSITIONS crystal
Sr 0.2500 0.2500 0.2500
Sr 0.7500 0.7500 0.7500
Pr 0.0000 0.0000 0.0000
Ta 0.5000 0.5000 0.5000
O 0.2687 0.2687 0.7313
O 0.2687 0.7313 0.2687
O 0.2687 0.7313 0.7313
O 0.7313 0.2687 0.2687
O 0.7313 0.2687 0.7313
O 0.7313 0.7313 0.2687
CELL_PARAMETERS angstrom
0.0000 4.3173 4.3173
4.3173 0.0000 4.3173
4.3173 4.3173 0.0000
```